No. 1
NaH3O2 (r2SCAN, relaxed); calculated total energy = -5.5929 eV per atom; crystal system = monoclinic; formation energy from the elements = -1.2805 eV/atom; magnetization = 0.000 μB per formula unit
1.0
11.2712 0.0000 0.0000
0.0000 5.9421 -0.0077
0.0000 0.0177 6.1433
Na H O
8 24 16
direct
0.5546 0.7917 0.3598
0.4462 0.7079 0.8593
0.9462 0.2921 0.6407
0.0546 0.2083 0.1402
0.4454 0.2083 0.6402
0.5538 0.2921 0.1407
0.0538 0.7079 0.3593
0.9454 0.7917 0.8598
0.8658 0.0598 0.2147
0.8688 0.8914 0.4314
0.1301 0.6092 0.9284
0.1342 0.4412 0.7117
0.6301 0.3908 0.5716
0.6342 0.5588 0.7883
0.3688 0.1086 0.0686
0.3658 0.9402 0.2853
0.1312 0.1086 0.5686
0.1342 0.9402 0.7853
0.8699 0.3908 0.0716
0.8658 0.5588 0.2883
0.3658 0.4412 0.2117
0.3699 0.6092 0.4284
0.6342 0.0598 0.7147
0.6312 0.8914 0.9314
0.7136 0.1227 0.4296
0.2855 0.3790 0.9270
0.7855 0.6210 0.5730
0.2136 0.8773 0.0704
0.2864 0.8773 0.5704
0.7145 0.6210 0.0730
0.2145 0.3790 0.4270
0.7864 0.1227 0.9296
0.8827 0.0487 0.3754
0.1162 0.4522 0.8720
0.6162 0.5478 0.6280
0.3827 0.9513 0.1246
0.1173 0.9513 0.6246
0.8838 0.5478 0.1280
0.3838 0.4522 0.3720
0.6173 0.0487 0.8754
0.6296 0.1406 0.4619
0.3694 0.3600 0.9596
0.8694 0.6400 0.5404
0.1296 0.8594 0.0381
0.3704 0.8594 0.5381
0.6306 0.6400 0.0404
0.1306 0.3600 0.4596
0.8704 0.1406 0.9619

***

No. 2
NaH9O5 (r2SCAN, relaxed); calculated total energy = -5.4455 eV per atom; crystal system = orthorhombic; formation energy from the elements = -1.1440 eV/atom; magnetization = 0.000 μB per formula unit
1.0
6.2023 0.0000 0.0000
0.0000 6.1064 0.0000
0.0000 0.0000 12.8466
Na H O
4 36 20
direct
0.5086 0.2487 0.7503
0.4914 0.7487 0.7497
0.0086 0.2513 0.2497
0.9914 0.7513 0.2503
0.9161 0.1799 0.9504
0.0839 0.6799 0.5496
0.4161 0.3201 0.0496
0.5839 0.8201 0.4504
0.4267 0.9810 0.9360
0.5733 0.4810 0.5640
0.9267 0.5190 0.0640
0.0733 0.0190 0.4360
0.1951 0.0254 0.8938
0.8049 0.5254 0.6062
0.6951 0.4746 0.1062
0.3049 0.9746 0.3938
0.8592 0.9938 0.8239
0.1408 0.4938 0.6761
0.3592 0.5062 0.1761
0.6408 0.0062 0.3239
0.8752 0.0135 0.6980
0.1248 0.5135 0.8020
0.3752 0.4865 0.3020
0.6248 0.9865 0.1980
0.4335 0.9897 0.5605
0.5665 0.4897 0.9395
0.9335 0.5103 0.4395
0.0665 0.0103 0.0605
0.2035 0.0254 0.6090
0.7965 0.5254 0.8910
0.7035 0.4746 0.3910
0.2965 0.9746 0.1090
0.9440 0.2421 0.5504
0.0560 0.7421 0.9496
0.4440 0.2579 0.4496
0.5560 0.7579 0.0504
0.7835 0.0484 0.5147
0.2165 0.5484 0.9853
0.2835 0.4516 0.4853
0.7165 0.9516 0.0147
0.9321 0.0222 0.9514
0.0679 0.5222 0.5486
0.4321 0.4778 0.0486
0.5679 0.9778 0.4514
0.3464 0.0098 0.8717
0.6536 0.5098 0.6283
0.8464 0.4902 0.1283
0.1536 0.9902 0.3717
0.7815 0.9815 0.7566
0.2185 0.4815 0.7434
0.2815 0.5185 0.2434
0.7185 0.0185 0.2566
0.3528 0.0001 0.6279
0.6472 0.5001 0.8721
0.8528 0.4999 0.3721
0.1472 0.9999 0.1279
0.9259 0.0833 0.5505
0.0741 0.5833 0.9495
0.4259 0.4167 0.4495
0.5741 0.9167 0.0505